Record 1
Density functional theory data (PBE) for PBr5 after structural relaxation.

Output
As for the raw total energy: -62.5 eV per cell. As for the space group: Pbcm (57). Its formation enthalpy at 0 K is -782 meV per atom.

a b c (Å): 5.980 8.796 17.405
angles (deg): 90.00 90.00 90.00
Fractional coordinates of all 24 atoms:
Br 0.812 0.250 0.964
Br 0.246 0.041 0.868
Br 0.516 0.250 0.613
Br 0.170 0.250 0.258
Br 0.484 0.750 0.387
Br 0.754 0.041 0.368
Br 0.754 0.459 0.368
Br 0.170 0.750 0.242
Br 0.246 0.541 0.632
Br 0.484 0.250 0.113
Br 0.812 0.750 0.536
Br 0.188 0.250 0.464
Br 0.830 0.250 0.758
Br 0.754 0.541 0.132
Br 0.830 0.750 0.742
Br 0.188 0.750 0.036
Br 0.516 0.750 0.887
Br 0.246 0.459 0.868
Br 0.246 0.959 0.632
Br 0.754 0.959 0.132
P 0.038 0.250 0.864
P 0.962 0.750 0.136
P 0.962 0.250 0.364
P 0.038 0.750 0.636

***

Record 2
Density functional theory data (PBE) for Sr2P7Br after structural relaxation.

Output
As for the raw total energy: -200.7 eV per cell. As for the space group: P2_13 (198). Its formation enthalpy at 0 K is -780 meV per atom.

a b c (Å): 9.918 9.918 9.918
angles (deg): 90.00 90.00 90.00
Fractional coordinates of all 40 atoms:
Br 0.403 0.403 0.403
Br 0.903 0.097 0.597
Br 0.097 0.597 0.903
Br 0.597 0.903 0.097
P 0.943 0.119 0.219
P 0.037 0.037 0.037
P 0.232 0.299 0.113
P 0.443 0.381 0.781
P 0.219 0.943 0.119
P 0.799 0.387 0.768
P 0.701 0.613 0.268
P 0.299 0.113 0.232
P 0.557 0.881 0.719
P 0.537 0.463 0.963
P 0.887 0.732 0.201
P 0.768 0.799 0.387
P 0.732 0.201 0.887
P 0.719 0.557 0.881
P 0.281 0.057 0.619
P 0.619 0.281 0.057
P 0.463 0.963 0.537
P 0.781 0.443 0.381
P 0.113 0.232 0.299
P 0.963 0.537 0.463
P 0.268 0.701 0.613
P 0.387 0.768 0.799
P 0.201 0.887 0.732
P 0.057 0.619 0.281
P 0.381 0.781 0.443
P 0.613 0.268 0.701
P 0.119 0.219 0.943
P 0.881 0.719 0.557
Sr 0.587 0.587 0.587
Sr 0.148 0.352 0.648
Sr 0.413 0.087 0.913
Sr 0.913 0.413 0.087
Sr 0.087 0.913 0.413
Sr 0.352 0.648 0.148
Sr 0.852 0.852 0.852
Sr 0.648 0.148 0.352

***

Record 3
Density functional theory data (PBE) for PaBr4 after structural relaxation.

Output
As for the raw total energy: -46.5 eV per cell. As for the space group: I4_1/amd (141). Its formation enthalpy at 0 K is -1864 meV per atom.

a b c (Å): 7.524 7.524 7.524
angles (deg): 107.26 107.26 114.00
Fractional coordinates of all 10 atoms:
Br 0.383 0.072 0.311
Br 0.760 0.072 0.689
Br 0.867 0.678 0.189
Br 0.322 0.133 0.811
Br 0.490 0.678 0.811
Br 0.928 0.240 0.311
Br 0.322 0.510 0.189
Br 0.928 0.617 0.689
Pa 0.250 0.750 0.500
Pa 0.000 0.000 0.000

***

Record 4
Density functional theory data (PBE) for Pa3Br after structural relaxation.

Output
As for the raw total energy: -29.7 eV per cell. As for the space group: I4/mmm (139). Its formation enthalpy at 0 K is -23 meV per atom.

a b c (Å): 5.516 5.516 5.516
angles (deg): 131.46 131.46 71.08
Fractional coordinates of all 4 atoms:
Br 0.000 0.000 0.000
Pa 0.750 0.250 0.500
Pa 0.500 0.500 0.000
Pa 0.250 0.750 0.500

***

Record 5
Density functional theory data (PBE) for PaBr5 after structural relaxation.

Output
As for the raw total energy: -105.5 eV per cell. As for the space group: P2_1/c (14). Its formation enthalpy at 0 K is -1890 meV per atom.

a b c (Å): 12.106 9.253 13.318
angles (deg): 46.53 90.00 90.00
Fractional coordinates of all 24 atoms:
Pa 0.368 0.796 0.655
Pa 0.868 0.204 0.845
Pa 0.632 0.204 0.345
Pa 0.132 0.796 0.155
Br 0.351 0.823 0.133
Br 0.607 0.830 0.632
Br 0.623 0.547 0.082
Br 0.626 0.998 0.272
Br 0.393 0.170 0.368
Br 0.877 0.547 0.582
Br 0.149 0.823 0.633
Br 0.851 0.177 0.367
Br 0.126 0.002 0.228
Br 0.123 0.453 0.418
Br 0.374 0.002 0.728
Br 0.874 0.998 0.772
Br 0.878 0.392 0.931
Br 0.378 0.608 0.569
Br 0.649 0.177 0.867
Br 0.622 0.392 0.431
Br 0.893 0.830 0.132
Br 0.377 0.453 0.918
Br 0.107 0.170 0.868
Br 0.122 0.608 0.069

***

Record 6
Density functional theory data (PBE) for PbBr2 after structural relaxation.

Output
As for the raw total energy: -39.2 eV per cell. Its formation enthalpy at 0 K is -1293 meV per atom.

a b c (Å): 4.502 7.784 14.511
angles (deg): 90.00 90.00 90.00
Fractional coordinates of all 12 atoms:
Br 0.250 0.584 0.614
Br 0.250 0.917 0.385
Br 0.750 0.083 0.615
Br 0.750 0.916 0.114
Br 0.750 0.416 0.386
Br 0.250 0.084 0.886
Br 0.250 0.417 0.115
Br 0.750 0.583 0.885
Pb 0.750 0.750 0.500
Pb 0.250 0.750 0.000
Pb 0.750 0.250 0.000
Pb 0.250 0.250 0.500

***

Record 7
Density functional theory data (PBE) for PbBr2 after structural relaxation.

Output
As for the raw total energy: -19.5 eV per cell. As for the space group: P4_2/mnm (136). Its formation enthalpy at 0 K is -1282 meV per atom.

a b c (Å): 7.171 7.171 4.614
angles (deg): 90.00 90.00 90.00
Fractional coordinates of all 6 atoms:
Br 0.801 0.199 0.500
Br 0.301 0.301 0.000
Br 0.699 0.699 0.000
Br 0.199 0.801 0.500
Pb 0.000 0.000 0.000
Pb 0.500 0.500 0.500

***

Record 8
Density functional theory data (PBE) for PbBr2 after structural relaxation.

Output
As for the raw total energy: -38.9 eV per cell. As for the space group: Pnma (62). Its formation enthalpy at 0 K is -1266 meV per atom.

a b c (Å): 4.754 8.237 10.158
angles (deg): 90.00 90.00 90.00
Fractional coordinates of all 12 atoms:
Br 0.250 0.507 0.153
Br 0.250 0.007 0.347
Br 0.750 0.493 0.847
Br 0.750 0.359 0.413
Br 0.250 0.641 0.587
Br 0.250 0.141 0.913
Br 0.750 0.993 0.653
Br 0.750 0.859 0.087
Pb 0.750 0.768 0.428
Pb 0.250 0.732 0.928
Pb 0.250 0.232 0.572
Pb 0.750 0.268 0.072

***

For the records above, the corresponding ρ values read 3123, 3214, 5604, 13911, 3868, 4794, 5137, 6129 kg/m3.